A.
This record from the Materials Project database describes a geometry-optimized Y6Zr22O53 structure. The functional is PBE-GGA.

abc: 86.1235 86.1235 86.1235
angles: 2.44 2.44 2.44
With the nearest neighbours (Å) after each atom.
Positions (direct):
Y  0.0000  0.0000  0.0000  8 O 2.24-2.33
Y  0.0364  0.0364  0.0364  8 O 2.26-2.50
Y  0.3208  0.3208  0.3208  8 O 2.24-2.33
Y  0.3577  0.3577  0.3577  8 O 2.24-2.32
Y  0.6422  0.6422  0.6422  8 O 2.26-2.50
Y  0.6785  0.6785  0.6785  8 O 2.24-2.33
Zr  0.0710  0.0710  0.0710  4 O 2.06-2.18
Zr  0.1065  0.1065  0.1065  4 O 2.08-2.18
Zr  0.1425  0.1425  0.1425  4 O 2.11-2.18
Zr  0.1788  0.1788  0.1788  5 O 2.16-2.23
Zr  0.2143  0.2143  0.2143  5 O 2.14-2.25
Zr  0.2506  0.2506  0.2506  4 O 2.07-2.18
Zr  0.2859  0.2859  0.2859  4 O 2.03-2.18
Zr  0.3927  0.3927  0.3927  4 O 2.04-2.18
Zr  0.4279  0.4279  0.4279  4 O 2.08-2.18
Zr  0.4637  0.4637  0.4637  4 O 2.09-2.18
Zr  0.5009  0.5009  0.5009  6 O 2.22-2.34
Zr  0.5362  0.5362  0.5362  7 O 2.23-2.48
Zr  0.5720  0.5720  0.5720  4 O 2.07-2.18
Zr  0.6076  0.6076  0.6076  4 O 2.05-2.18
Zr  0.7146  0.7146  0.7146  4 O 2.03-2.17
Zr  0.7494  0.7494  0.7494  4 O 2.07-2.18
Zr  0.7851  0.7851  0.7851  4 O 2.09-2.18
Zr  0.8218  0.8218  0.8218  5 O 2.13-2.23
Zr  0.8576  0.8576  0.8576  7 O 2.17-2.32
Zr  0.8935  0.8935  0.8935  4 O 2.07-2.18
Zr  0.9291  0.9291  0.9291  4 O 2.06-2.18
Zr  0.9640  0.9640  0.9640  4 O 2.02-2.17
O  0.0090  0.0090  0.0090  4 Y 2.24-2.33
O  0.0272  0.0272  0.0272  4 Y 2.24-2.37
O  0.0461  0.0461  0.0461  3 Zr 2.17
O  0.0630  0.0630  0.0630  1 Zr 2.06
O  0.0808  0.0808  0.0808  3 Zr 2.18
O  0.0984  0.0984  0.0984  1 Zr 2.08
O  0.1164  0.1164  0.1164  3 Zr 2.18
O  0.1343  0.1343  0.1343  4 Zr 2.11-2.35
O  0.1702  0.1702  0.1702  4 Zr 2.22-2.23
O  0.1873  0.1873  0.1873  4 Zr 2.19-2.32
O  0.2056  0.2056  0.2056  4 Zr 2.23-2.25
O  0.2227  0.2227  0.2227  4 Zr 2.16-2.37
O  0.2406  0.2406  0.2406  3 Zr 2.18
O  0.2586  0.2586  0.2586  1 Zr 2.07
O  0.2762  0.2762  0.2762  3 Zr 2.18
O  0.2937  0.2937  0.2937  1 Zr 2.03
O  0.3119  0.3119  0.3119  4 Y 2.26-2.30
O  0.3299  0.3299  0.3299  4 Y 2.30-2.33, 3 O 2.55
O  0.3487  0.3487  0.3487  4 Y 2.30-2.32, 3 O 2.55
O  0.3666  0.3666  0.3666  4 Y 2.26-2.31
O  0.3848  0.3848  0.3848  1 Zr 2.04
O  0.4023  0.4023  0.4023  3 Zr 2.18
O  0.4199  0.4199  0.4199  1 Zr 2.08
O  0.4378  0.4378  0.4378  3 Zr 2.18
O  0.4556  0.4556  0.4556  4 Zr 2.09-2.34
O  0.4739  0.4739  0.4739  3 Zr 2.18
O  0.4893  0.4893  0.4893  3 Zr 2.13
O  0.5266  0.5266  0.5266  3 Zr 2.20
O  0.5621  0.5621  0.5621  3 Zr 2.18
O  0.5801  0.5801  0.5801  1 Zr 2.07
O  0.5977  0.5977  0.5977  3 Zr 2.18
O  0.6155  0.6155  0.6155  1 Zr 2.05
O  0.6325  0.6325  0.6325  3 Zr 2.17
O  0.6514  0.6514  0.6514  4 Y 2.24-2.37
O  0.6695  0.6695  0.6695  4 Y 2.24-2.32
O  0.6875  0.6875  0.6875  4 Y 2.30-2.33, 3 O 2.55
O  0.7067  0.7067  0.7067  1 Zr 2.03
O  0.7241  0.7241  0.7241  3 Zr 2.18
O  0.7414  0.7414  0.7414  1 Zr 2.07
O  0.7593  0.7593  0.7593  3 Zr 2.18
O  0.7770  0.7770  0.7770  1 Zr 2.09
O  0.7950  0.7950  0.7950  3 Zr 2.18
O  0.8135  0.8135  0.8135  1 Zr 2.14
O  0.8304  0.8304  0.8304  4 Zr 2.23-2.34
O  0.8471  0.8471  0.8471  3 Zr 2.16
O  0.8660  0.8660  0.8660  4 Zr 2.17-2.31
O  0.8822  0.8822  0.8822  3 Zr 2.14
O  0.9015  0.9015  0.9015  1 Zr 2.07
O  0.9192  0.9192  0.9192  3 Zr 2.18
O  0.9371  0.9371  0.9371  1 Zr 2.06
O  0.9545  0.9545  0.9545  3 Zr 2.18
O  0.9718  0.9718  0.9718  1 Zr 2.02
O  0.9910  0.9910  0.9910  4 Y 2.30-2.32, 3 O 2.55



B.
This record from the Materials Project database describes a geometry-optimized Y6Zr22O53 structure. The functional is PBE-GGA.

abc: 3.6274 3.7314 74.4294
angles: 90.00 90.00 90.00
With the nearest neighbours (Å) after each atom.
Positions (direct):
Y  0.0000  0.0000  0.0000  4 O 2.13-2.25
Y  0.0000  0.0000  0.0670  6 O 2.22-2.39
Y  0.0000  0.0000  0.1432  4 O 2.12-2.25
Y  0.0000  0.0000  0.2102  6 O 2.22-2.39
Y  0.0000  0.0000  0.2859  2 O 2.07
Y  0.0000  0.0000  0.9231  6 O 2.20-2.41
Zr  0.0000  0.0000  0.3553  4 O 2.08-2.14
Zr  0.0000  0.0000  0.4263  4 O 2.08-2.13
Zr  0.0000  0.0000  0.4976  4 O 2.08-2.13
Zr  0.0000  0.0000  0.5691  4 O 2.08-2.13
Zr  0.0000  0.0000  0.6406  4 O 2.08-2.13
Zr  0.0000  0.0000  0.7121  4 O 2.08-2.13
Zr  0.0000  0.0000  0.7836  4 O 2.09-2.14
Zr  0.0000  0.0000  0.8544  6 O 2.13-2.35
Zr  0.5000  0.5000  0.0336  8 O 2.20-2.32
Zr  0.5000  0.5000  0.1018  4 O 2.00-2.12
Zr  0.5000  0.5000  0.1768  8 O 2.19-2.33
Zr  0.5000  0.5000  0.2451  4 O 2.01-2.12
Zr  0.5000  0.5000  0.3204  4 O 2.12
Zr  0.5000  0.5000  0.3911  4 O 2.11
Zr  0.5000  0.5000  0.4623  4 O 2.10-2.11
Zr  0.5000  0.5000  0.5337  4 O 2.10-2.11
Zr  0.5000  0.5000  0.6052  4 O 2.10-2.11
Zr  0.5000  0.5000  0.6767  4 O 2.10-2.11
Zr  0.5000  0.5000  0.7483  4 O 2.10-2.11
Zr  0.5000  0.5000  0.8194  6 O 2.12-2.36
Zr  0.5000  0.5000  0.8895  8 O 2.16-2.40
Zr  0.5000  0.5000  0.9582  4 O 2.01-2.12
O  0.0000  0.5000  0.0169  2 Zr 2.20, 2 Y 2.25
O  0.0000  0.5000  0.0506  2 Zr 2.21, 2 Y 2.23
O  0.0000  0.5000  0.0870  2 Zr 2.12
O  0.0000  0.5000  0.1221  2 Zr 2.36, 2 Y 2.44, 1 O 2.62
O  0.0000  0.5000  0.1602  2 Zr 2.19, 2 Y 2.25
O  0.0000  0.5000  0.1940  2 Zr 2.22, 2 Y 2.22
O  0.0000  0.5000  0.2304  2 Zr 2.12
O  0.0000  0.5000  0.2656  2 Zr 2.37, 2 Y 2.40, 1 O 2.62
O  0.0000  0.5000  0.3056  2 Zr 2.12
O  0.0000  0.5000  0.3412  4 Zr 2.14-2.39
O  0.0000  0.5000  0.3767  2 Zr 2.11
O  0.0000  0.5000  0.4124  2 Zr 2.13
O  0.0000  0.5000  0.4480  2 Zr 2.10
O  0.0000  0.5000  0.4838  2 Zr 2.13
O  0.0000  0.5000  0.5194  2 Zr 2.10
O  0.0000  0.5000  0.5553  2 Zr 2.13
O  0.0000  0.5000  0.5909  2 Zr 2.10
O  0.0000  0.5000  0.6268  2 Zr 2.13
O  0.0000  0.5000  0.6625  2 Zr 2.10
O  0.0000  0.5000  0.6983  2 Zr 2.13
O  0.0000  0.5000  0.7339  2 Zr 2.10
O  0.0000  0.5000  0.7696  2 Zr 2.14
O  0.0000  0.5000  0.8047  2 Zr 2.12
O  0.0000  0.5000  0.8397  4 Zr 2.16-2.36
O  0.0000  0.5000  0.8736  4 Zr 2.16-2.35
O  0.0000  0.5000  0.9073  2 Y 2.20, 2 Zr 2.25
O  0.0000  0.5000  0.9435  2 Zr 2.12
O  0.0000  0.5000  0.9787  2 Zr 2.37, 2 Y 2.45, 1 O 2.62
O  0.5000  0.0000  0.0150  2 Y 2.13, 2 Zr 2.32
O  0.5000  0.0000  0.0498  2 Y 2.22, 2 Zr 2.22
O  0.5000  0.0000  0.0920  2 Zr 2.00
O  0.5000  0.0000  0.1581  2 Y 2.12, 2 Zr 2.33
O  0.5000  0.0000  0.1929  2 Zr 2.22, 2 Y 2.22
O  0.5000  0.0000  0.2351  2 Zr 2.01
O  0.5000  0.0000  0.2994  2 Y 2.07
O  0.5000  0.0000  0.3338  2 Zr 2.12
O  0.5000  0.0000  0.3691  2 Zr 2.08
O  0.5000  0.0000  0.4043  2 Zr 2.11
O  0.5000  0.0000  0.4399  2 Zr 2.08
O  0.5000  0.0000  0.4754  2 Zr 2.11
O  0.5000  0.0000  0.5112  2 Zr 2.08
O  0.5000  0.0000  0.5468  2 Zr 2.11
O  0.5000  0.0000  0.5827  2 Zr 2.08
O  0.5000  0.0000  0.6183  2 Zr 2.11
O  0.5000  0.0000  0.6542  2 Zr 2.08
O  0.5000  0.0000  0.6899  2 Zr 2.11
O  0.5000  0.0000  0.7258  2 Zr 2.08
O  0.5000  0.0000  0.7615  2 Zr 2.11
O  0.5000  0.0000  0.7975  2 Zr 2.09
O  0.5000  0.0000  0.8332  2 Zr 2.13
O  0.5000  0.0000  0.8693  2 Zr 2.13
O  0.5000  0.0000  0.9050  2 Zr 2.20, 2 Y 2.26
O  0.5000  0.0000  0.9481  2 Zr 2.01



Computed energies relative to the best structure, in meV/atom: A 222; B 0



A.
This record from the Materials Project database describes a geometry-optimized Os structure. The functional is PBE-GGA.

abc: 5.1586 4.6699 5.1466
angles: 90.00 106.02 90.00
With the nearest neighbours (Å) after each atom.
Positions (direct):
Os  0.1081  0.1596  0.2083  11 Os 2.60-2.76
Os  0.1081  0.3404  0.7083  11 Os 2.60-2.76
Os  0.3612  0.6557  0.1400  11 Os 2.63-2.81
Os  0.3612  0.8443  0.6400  11 Os 2.63-2.81
Os  0.6388  0.1557  0.3600  11 Os 2.63-2.81
Os  0.6388  0.3443  0.8600  11 Os 2.63-2.81
Os  0.8919  0.6596  0.2917  11 Os 2.60-2.76
Os  0.8919  0.8404  0.7917  11 Os 2.60-2.76



B.
This record from the Materials Project database describes a geometry-optimized Os structure. The functional is PBE-GGA.

abc: 2.7585 2.7585 4.3568
angles: 90.00 90.00 120.00
With the nearest neighbours (Å) after each atom.
Positions (direct):
Os  0.3333  0.6667  0.2500  12 Os 2.70-2.76
Os  0.6667  0.3333  0.7500  12 Os 2.70-2.76



Computed energies relative to the best structure, in meV/atom: A 231; B 0